# 1
# Ba2FeSbS5

Crystalline Ba2FeSbS5 at its relaxed geometry (PBE, the Materials Project database).

Cell lengths 8.9133, 9.0489, 12.2148 Å; angles 90.00, 90.00, 90.00 degrees
Element x y z (fractional)
S  0.7500  0.1160  0.2902
S  0.0499  0.1792  0.5545
S  0.0499  0.3208  0.0545
S  0.7500  0.0300  0.0057
S  0.2500  0.1147  0.2724
S  0.9501  0.6792  0.9455
S  0.7500  0.6147  0.2276
S  0.7500  0.3840  0.7902
S  0.2500  0.8840  0.7098
S  0.2500  0.9700  0.9943
S  0.2500  0.5300  0.4943
S  0.5499  0.6792  0.9455
S  0.7500  0.4700  0.5057
S  0.5499  0.8208  0.4455
S  0.9501  0.8208  0.4455
S  0.4501  0.1792  0.5545
S  0.2500  0.6160  0.2098
S  0.2500  0.3853  0.7724
S  0.4501  0.3208  0.0545
S  0.7500  0.8853  0.7276
Ba  0.5073  0.6223  0.6764
Ba  0.9927  0.6223  0.6764
Ba  0.4927  0.1223  0.8236
Ba  0.4927  0.3777  0.3236
Ba  0.0073  0.1223  0.8236
Ba  0.9927  0.8777  0.1764
Ba  0.5073  0.8777  0.1764
Ba  0.0073  0.3777  0.3236
Sb  0.7500  0.4835  0.9777
Sb  0.2500  0.5165  0.0223
Sb  0.2500  0.9835  0.5223
Sb  0.7500  0.0165  0.4777
Fe  0.7500  0.6727  0.4051
Fe  0.2500  0.3273  0.5949
Fe  0.7500  0.8273  0.9051
Fe  0.2500  0.1727  0.0949

## Properties
Space-group type   No. 62
Energy of formation from the pure elements   -1431 meV/atom
Volume   27.4 Å³ per atom

=====

# 2
# La3PbI3

Crystalline La3PbI3 at its relaxed geometry (PBE, the Materials Project database).

Cell lengths 11.3193, 11.3193, 11.3193 Å; angles 109.47, 109.47, 109.47 degrees
Element x y z (fractional)
Pb  0.2500  0.2500  0.2500
Pb  0.2500  0.5000  0.0000
Pb  0.5000  0.0000  0.2500
Pb  0.0000  0.2500  0.5000
I  0.5055  0.7555  0.5110
I  0.5055  0.2500  0.9945
I  0.7555  0.7445  0.2500
I  0.7445  0.9945  0.9890
I  0.7555  0.5110  0.5055
I  0.7445  0.2500  0.7555
I  0.2500  0.7555  0.7445
I  0.9945  0.9890  0.7445
I  0.5110  0.5055  0.7555
I  0.9945  0.5055  0.2500
I  0.2500  0.9945  0.5055
I  0.9890  0.7445  0.9945
La  0.2570  0.7500  0.2430
La  0.7500  0.2430  0.2570
La  0.0070  0.4930  0.7500
La  0.7500  0.0070  0.4930
La  0.0140  0.2570  0.0070
La  0.2430  0.4860  0.4930
La  0.0070  0.0140  0.2570
La  0.4930  0.7500  0.0070
La  0.4930  0.2430  0.4860
La  0.4860  0.4930  0.2430
La  0.2430  0.2570  0.7500
La  0.2570  0.0070  0.0140

## Properties
Space-group type   No. 214
Energy of formation from the pure elements   -1310 meV/atom
Volume   39.9 Å³ per atom

=====

# 3
# CuAg3S2

Crystalline CuAg3S2 at its relaxed geometry (PBE, the Materials Project database).

Cell lengths 8.5848, 8.5848, 8.5848 Å; angles 118.76, 118.76, 92.17 degrees
Element x y z (fractional)
S  0.6622  0.4135  0.7513
S  0.5865  0.3378  0.2487
S  0.0878  0.8365  0.7487
S  0.6609  0.9122  0.7487
S  0.6622  0.9109  0.2487
S  0.0891  0.3378  0.7513
S  0.0878  0.3391  0.2513
S  0.1635  0.9122  0.2513
Ag  0.3144  0.3144  0.6288
Ag  0.4356  0.5644  0.5000
Ag  0.6856  0.6856  0.3712
Ag  0.3144  0.6856  0.0000
Ag  0.8750  0.1250  0.7500
Ag  0.0644  0.5644  0.1288
Ag  0.8750  0.6250  0.7500
Ag  0.8750  0.1250  0.2500
Ag  0.6856  0.3144  0.0000
Ag  0.3750  0.1250  0.2500
Ag  0.0644  0.9356  0.5000
Ag  0.4356  0.9356  0.8712
Cu  0.4032  0.9032  0.5000
Cu  0.3468  0.3468  0.0000
Cu  0.0968  0.5968  0.5000
Cu  0.6532  0.6532  0.0000

## Properties
Space-group type   No. 141
Energy of formation from the pure elements   -216 meV/atom
Volume   19.0 Å³ per atom

=====

# 4
# Nd2Co5B2

Crystalline Nd2Co5B2 at its relaxed geometry (PBE, the Materials Project database).

Cell lengths 5.1821, 5.1821, 20.1079 Å; angles 90.00, 90.00, 120.01 degrees
Element x y z (fractional)
Co  0.1605  0.3212  0.6085
Co  0.8395  0.1605  0.3915
Co  0.8395  0.1605  0.1085
Co  0.6788  0.8395  0.6085
Co  0.3361  0.1681  0.2500
Co  0.1605  0.8395  0.6085
Co  0.8319  0.6639  0.2500
Co  0.6788  0.8395  0.8915
Co  0.1681  0.8319  0.7500
Co  0.1605  0.3212  0.8915
Co  0.3212  0.1605  0.1085
Co  0.1681  0.3361  0.7500
Co  0.6639  0.8319  0.7500
Co  0.0000  0.0000  0.0000
Co  0.8395  0.6788  0.1085
Co  0.8395  0.6788  0.3915
Co  0.0000  0.0000  0.5000
Co  0.3212  0.1605  0.3915
Co  0.8319  0.1681  0.2500
Co  0.1605  0.8395  0.8915
Nd  0.3333  0.6667  0.3254
Nd  0.6667  0.3333  0.8254
Nd  0.6667  0.3333  0.6746
Nd  0.3334  0.6666  0.4791
Nd  0.6666  0.3334  0.9791
Nd  0.3334  0.6666  0.0209
Nd  0.3333  0.6667  0.1746
Nd  0.6666  0.3334  0.5209
B  0.0000  0.0000  0.6789
B  0.0000  0.0000  0.1789
B  0.3333  0.6667  0.8254
B  0.6667  0.3333  0.3254
B  0.0000  0.0000  0.8211
B  0.3333  0.6667  0.6746
B  0.6667  0.3333  0.1746
B  0.0000  0.0000  0.3211

## Properties
Space-group type   No. 194
Energy of formation from the pure elements   -290 meV/atom
Volume   13.0 Å³ per atom

=====

# 5
# MnFeP2

Crystalline MnFeP2 at its relaxed geometry (PBE, the Materials Project database).

Cell lengths 3.1161, 5.1475, 5.7918 Å; angles 90.00, 90.00, 90.00 degrees
Element x y z (fractional)
Mn  0.0000  0.5009  0.4522
Mn  0.0000  0.0009  0.5478
Fe  0.5000  0.9980  0.9472
Fe  0.5000  0.4980  0.0528
P  0.5000  0.3134  0.6860
P  0.0000  0.6878  0.8227
P  0.5000  0.8134  0.3140
P  0.0000  0.1878  0.1773

## Properties
Space-group type   No. 26
Energy of formation from the pure elements   -595 meV/atom
Volume   11.6 Å³ per atom

=====

# 6
# Cs3ErCl6

Crystalline Cs3ErCl6 at its relaxed geometry (PBE, the Materials Project database).

Cell lengths 14.1288, 14.1288, 13.2252 Å; angles 80.73, 80.73, 34.82 degrees
Element x y z (fractional)
Cl  0.2313  0.1282  0.9656
Cl  0.5078  0.3812  0.1828
Cl  0.8718  0.7687  0.5344
Cl  0.7687  0.8718  0.0344
Cl  0.8323  0.2806  0.0699
Cl  0.2806  0.8323  0.5699
Cl  0.6158  0.7358  0.0792
Cl  0.0708  0.0402  0.3050
Cl  0.4922  0.6188  0.8172
Cl  0.1282  0.2313  0.4656
Cl  0.1341  0.3662  0.6799
Cl  0.3812  0.5078  0.6828
Cl  0.0402  0.0708  0.8050
Cl  0.7358  0.6158  0.5792
Cl  0.7194  0.1677  0.4301
Cl  0.6188  0.4922  0.3172
Cl  0.9292  0.9598  0.6950
Cl  0.6338  0.8659  0.8201
Cl  0.3662  0.1341  0.1799
Cl  0.3842  0.2642  0.9208
Cl  0.9598  0.9292  0.1950
Cl  0.2642  0.3842  0.4208
Cl  0.1677  0.7194  0.9301
Cl  0.8659  0.6338  0.3201
Cs  0.8407  0.4667  0.8554
Cs  0.9748  0.3495  0.2003
Cs  0.4667  0.8407  0.3554
Cs  0.1593  0.5333  0.1446
Cs  0.6505  0.0252  0.2997
Cs  0.5333  0.1593  0.6446
Cs  0.3039  0.7954  0.0683
Cs  0.2046  0.6961  0.4317
Cs  0.7954  0.3039  0.5683
Cs  0.3495  0.9748  0.7003
Cs  0.6961  0.2046  0.9317
Cs  0.0252  0.6505  0.7997
Er  0.2170  0.7830  0.7500
Er  0.0000  0.5000  0.5000
Er  0.7830  0.2170  0.2500
Er  0.5000  0.0000  0.0000

## Properties
Space-group type   No. 15
Energy of formation from the pure elements   -2532 meV/atom
Volume   37.1 Å³ per atom

=====

# 7
# TiGaPS2O12

Crystalline TiGaPS2O12 at its relaxed geometry (PBE, the Materials Project database).

Cell lengths 8.5364, 8.5307, 22.0698 Å; angles 90.01, 90.00, 120.02 degrees
Element x y z (fractional)
O  0.6920  0.5249  0.2416
O  0.8281  0.8013  0.5915
O  0.1652  0.1878  0.4057
O  0.5079  0.6347  0.8626
O  0.6338  0.1238  0.1382
O  0.1732  0.9755  0.9089
O  0.1333  0.4990  0.8606
O  0.4708  0.1589  0.2418
O  0.3053  0.8370  0.2587
O  0.5317  0.8370  0.7587
O  0.6407  0.5059  0.9250
O  0.1742  0.9679  0.1960
O  0.8411  0.5402  0.0294
O  0.0227  0.1878  0.9057
O  0.6292  0.5087  0.6378
O  0.2125  0.1773  0.8043
O  0.6991  0.5402  0.5294
O  0.1677  0.6955  0.7597
O  0.6386  0.1338  0.4247
O  0.6996  0.1595  0.0292
O  0.7937  0.9679  0.6960
O  0.8795  0.5087  0.1378
O  0.4956  0.3667  0.1394
O  0.3100  0.4689  0.7580
O  0.4952  0.1338  0.9247
O  0.5416  0.8427  0.4717
O  0.8274  0.0269  0.0914
O  0.8323  0.3007  0.5272
O  0.5066  0.8738  0.3628
O  0.6881  0.1589  0.7418
O  0.1747  0.2081  0.6957
O  0.3657  0.4990  0.3606
O  0.5014  0.3581  0.4274
O  0.1268  0.6347  0.3626
O  0.9672  0.7985  0.8071
O  0.3010  0.8427  0.9717
O  0.8023  0.9755  0.4089
O  0.1578  0.7034  0.4712
O  0.1994  0.0269  0.5914
O  0.1425  0.5004  0.5744
O  0.4708  0.3076  0.7405
O  0.8653  0.5059  0.4250
O  0.8313  0.7985  0.3071
O  0.4900  0.1238  0.6382
O  0.8329  0.5249  0.7416
O  0.9742  0.1647  0.5941
O  0.0334  0.2081  0.1957
O  0.1381  0.6456  0.0751
O  0.2987  0.4604  0.4724
O  0.8032  0.8352  0.1940
O  0.0320  0.8352  0.6940
O  0.0239  0.8275  0.4089
O  0.1589  0.4689  0.2580
O  0.1617  0.4604  0.9724
O  0.9732  0.8013  0.0915
O  0.5456  0.7034  0.9712
O  0.3595  0.8640  0.5744
O  0.5278  0.6955  0.2597
O  0.2123  0.0362  0.3043
O  0.8711  0.3667  0.6394
O  0.8239  0.0362  0.8043
O  0.3672  0.8738  0.8628
O  0.3579  0.5004  0.0744
O  0.8368  0.3076  0.2405
O  0.4685  0.3007  0.0272
O  0.9648  0.1773  0.3043
O  0.1905  0.1647  0.0941
O  0.5045  0.8640  0.0744
O  0.8035  0.8275  0.9089
O  0.8567  0.3581  0.9274
O  0.4599  0.1595  0.5292
O  0.5074  0.6456  0.5751
P  0.9573  0.3370  0.5837
P  0.0437  0.3719  0.9175
P  0.9932  0.7118  0.7505
P  0.3797  0.3370  0.0837
P  0.3283  0.3719  0.4175
P  0.7186  0.7118  0.2505
Ga  0.6610  0.3404  0.1871
Ga  0.6794  0.3404  0.6871
Ga  0.3294  0.6540  0.0202
Ga  0.3245  0.6540  0.5202
Ga  0.9979  0.9987  0.8535
Ga  0.0008  0.9987  0.3535
S  0.3805  0.0427  0.5836
S  0.9575  0.6206  0.0835
S  0.6622  0.0427  0.0836
S  0.3302  0.9526  0.9172
S  0.9952  0.2876  0.2498
S  0.2909  0.0009  0.2502
S  0.0473  0.6701  0.4164
S  0.7100  0.0009  0.7502
S  0.6224  0.9526  0.4172
S  0.6632  0.6206  0.5835
S  0.2925  0.2876  0.7498
S  0.6228  0.6701  0.9164
Ti  0.0007  0.9996  0.6437
Ti  0.3434  0.6589  0.3104
Ti  0.6694  0.3321  0.4770
Ti  0.3155  0.6589  0.8104
Ti  0.9989  0.9996  0.1437
Ti  0.6627  0.3321  0.9770

## Properties
Space-group type   No. 9
Energy of formation from the pure elements   -2362 meV/atom
Volume   13.6 Å³ per atom

=====

# 8
# Cs2KRb

Crystalline Cs2KRb at its relaxed geometry (PBE, the Materials Project database).

Cell lengths 8.2182, 8.2182, 8.2182 Å; angles 60.00, 60.00, 60.00 degrees
Element x y z (fractional)
K  0.5000  0.5000  0.5000
Cs  0.2500  0.2500  0.2500
Cs  0.7500  0.7500  0.7500
Rb  0.0000  0.0000  0.0000

## Properties
Space-group type   No. 225
Energy of formation from the pure elements   21 meV/atom
Volume   98.1 Å³ per atom

=====

# 9
# TlGaF6

Crystalline TlGaF6 at its relaxed geometry (PBE, the Materials Project database).

Cell lengths 5.4545, 5.4545, 5.7003 Å; angles 90.00, 61.42, 120.00 degrees
Element x y z (fractional)
F  0.8919  0.2678  0.2685
F  0.1075  0.8396  0.2685
F  0.8925  0.1604  0.7315
F  0.4636  0.6240  0.2685
F  0.5364  0.3760  0.7315
F  0.1081  0.7322  0.7315
Ga  0.0000  0.5000  0.5000
Tl  0.0000  0.0000  0.0000

## Properties
Space-group type   No. 148
Energy of formation from the pure elements   -2525 meV/atom
Volume   15.3 Å³ per atom

=====

# 10
# CuCl

Crystalline CuCl at its relaxed geometry (PBE, the Materials Project database).

Cell lengths 6.5237, 6.5237, 6.5237 Å; angles 90.00, 90.00, 90.00 degrees
Element x y z (fractional)
Cu  0.1192  0.6192  0.8808
Cu  0.8808  0.1192  0.6192
Cu  0.6192  0.6192  0.6192
Cu  0.3808  0.1192  0.8808
Cu  0.3808  0.3808  0.3808
Cu  0.8808  0.3808  0.1192
Cu  0.1192  0.8808  0.3808
Cu  0.6192  0.8808  0.1192
Cl  0.8428  0.6572  0.3428
Cl  0.1572  0.3428  0.6572
Cl  0.8428  0.8428  0.8428
Cl  0.6572  0.3428  0.8428
Cl  0.1572  0.1572  0.1572
Cl  0.3428  0.6572  0.1572
Cl  0.3428  0.8428  0.6572
Cl  0.6572  0.1572  0.3428

## Properties
Space-group type   No. 205
Energy of formation from the pure elements   -642 meV/atom
Volume   17.4 Å³ per atom

=====

# 11
# Hf20Si12B

Crystalline Hf20Si12B at its relaxed geometry (PBE, the Materials Project database).

Cell lengths 5.5365, 7.9085, 13.6944 Å; angles 90.00, 90.00, 89.92 degrees
Element x y z (fractional)
Hf  0.2442  0.7523  0.0000
Hf  0.7506  0.7511  0.5000
Hf  0.2494  0.2489  0.5000
Hf  0.7558  0.2477  0.0000
Hf  0.0000  0.5000  0.1648
Hf  0.5000  0.0000  0.6655
Hf  0.5000  0.5000  0.8325
Hf  0.5000  0.5000  0.1675
Hf  0.7556  0.8756  0.1246
Hf  0.2505  0.6248  0.6258
Hf  0.2444  0.1244  0.8754
Hf  0.0000  0.5000  0.8352
Hf  0.7556  0.8756  0.8754
Hf  0.0000  0.0000  0.3328
Hf  0.7495  0.3752  0.3742
Hf  0.2444  0.1244  0.1246
Hf  0.0000  0.0000  0.6672
Hf  0.5000  0.0000  0.3345
Hf  0.7495  0.3752  0.6258
Hf  0.2505  0.6248  0.3742
Si  0.2491  0.8026  0.1973
Si  0.2501  0.3042  0.6955
Si  0.2521  0.3933  0.0000
Si  0.7509  0.1974  0.8027
Si  0.7499  0.6958  0.6955
Si  0.2491  0.8026  0.8027
Si  0.2501  0.3042  0.3045
Si  0.7509  0.1974  0.1973
Si  0.7499  0.6958  0.3045
Si  0.7478  0.6067  0.0000
Si  0.2475  0.8902  0.5000
Si  0.7525  0.1098  0.5000
B  0.0000  0.0000  0.0000

## Properties
Space-group type   No. 10
Energy of formation from the pure elements   -757 meV/atom
Volume   18.2 Å³ per atom

=====

> Among the records above, which one has the highest volume?

Cs2KRb